Entry 1:
Computed, not measured: a relaxed HoAsPt crystal at the PBE level of DFT. Values from VASP.

Quantum ESPRESSO input file:
```
&SYSTEM
  ibrav = 0, nat = 12, ntyp = 3
/
ATOMIC_SPECIES
As 74.92 As.upf
Ho 164.93 Ho.upf
Pt 195.08 Pt.upf
ATOMIC_POSITIONS crystal
As 0.6667 0.3333 0.6161
As 0.3333 0.6667 0.1161
As 0.6667 0.3333 0.8839
As 0.3333 0.6667 0.3839
Ho 0.0000 0.0000 0.0000
Ho 0.0000 0.0000 0.7500
Ho 0.0000 0.0000 0.2500
Ho 0.0000 0.0000 0.5000
Pt 0.3333 0.6667 0.8647
Pt 0.6667 0.3333 0.1353
Pt 0.6667 0.3333 0.3647
Pt 0.3333 0.6667 0.6353
CELL_PARAMETERS angstrom
-2.1372 -3.7017 0.0000
-2.1372 3.7017 0.0000
0.0000 0.0000 -15.5140
```

Values from the calculation:
The calculation puts the volume at 20.456 Å³ per atom. Its space group is P6_3/mmc. Its calculated formation energy is -1.195 eV/atom. As for the total energy: -0.2315 Ha/atom.

Entry 2:
Computed, not measured: a relaxed Ho2As7Rh12 crystal at the PBE level of DFT. Values from VASP.

Quantum ESPRESSO input file:
```
&SYSTEM
  ibrav = 0, nat = 21, ntyp = 3
/
ATOMIC_SPECIES
Rh 102.91 Rh.upf
As 74.92 As.upf
Ho 164.93 Ho.upf
ATOMIC_POSITIONS crystal
Rh 0.2635 0.1490 0.7509
Rh 0.7365 0.8510 0.2491
Rh 0.9328 0.5509 0.2490
Rh 0.4491 0.3819 0.2490
Rh 0.6181 0.0672 0.2490
Rh 0.8510 0.1145 0.7509
Rh 0.0672 0.4491 0.7510
Rh 0.1490 0.8855 0.2491
Rh 0.3819 0.9328 0.7510
Rh 0.5509 0.6181 0.7510
Rh 0.1145 0.2635 0.2491
Rh 0.8855 0.7365 0.7509
As 0.7129 0.5946 0.2489
As 0.0000 0.0000 0.5000
As 0.2871 0.4054 0.7511
As 0.4054 0.1183 0.2489
As 0.1183 0.7129 0.7511
As 0.8817 0.2871 0.2489
As 0.5946 0.8817 0.7511
Ho 0.6667 0.3333 0.7494
Ho 0.3333 0.6667 0.2506
CELL_PARAMETERS angstrom
-5.6948 5.1121 6.4627
-3.7872 -2.8952 -8.8094
-1.1888 -3.3709 1.6189
```

Values from the calculation:
The calculation puts the volume at 16.235 Å³ per atom. Its space group is P-3. Its calculated formation energy is -0.688 eV/atom. As for the total energy: -0.2531 Ha/atom.